VASP calculation (r2SCAN) on a relaxed Nd2Zn5Sn crystal.

Structure (extended XYZ):
```
16
Lattice="-6.6720 -5.1210 1.5105 6.5710 2.3246 -4.9436 5.3863 -5.6958 4.4811" Properties=species:S:1:pos:R:3 pbc="T T T"
Zn 2.5855 -6.4593 2.3285
Zn -2.1060 -5.9628 2.0620
Nd 0.0000 0.0000 0.0000
Zn 7.3229 -5.8407 1.6852
Zn 0.4875 -5.3217 1.4634
Sn 0.5730 -3.2287 -0.2439
Nd 0.0874 -7.8638 3.5459
Zn -2.0375 -2.6516 -0.6372
Zn -3.6222 -4.3595 0.8005
Zn 8.9076 -4.1328 0.2475
Zn 4.7979 -3.1706 -0.4154
Nd 5.1980 -0.6284 -2.4979
Nd 2.6932 -2.8479 2.2406
Sn 4.7124 -5.2635 1.2919
Zn 7.3914 -2.5294 -1.0139
Zn 2.6999 -2.0329 -1.2804
```

Output
Mass density in Mg/m³: 7.39
ΔE_f in eV/f.u.: -4.07
V in Å³ per cell: 330

=====

VASP calculation (r2SCAN) on a relaxed TbNd3 crystal.

Structure (extended XYZ):
```
8
Lattice="3.7276 -6.4563 0.0000 3.7276 6.4563 0.0000 0.0000 0.0000 5.8364" Properties=species:S:1:pos:R:3 pbc="T T T"
Tb 3.7276 2.1521 4.3773
Nd 1.8702 -1.0798 4.3773
Nd 1.8702 1.0798 1.4591
Tb 3.7276 -2.1521 1.4591
Nd 5.5849 -1.0798 4.3773
Nd 3.7276 4.2968 1.4591
Nd 3.7276 -4.2968 4.3773
Nd 5.5849 1.0798 1.4591
```

Output
Mass density in Mg/m³: 6.99
ΔE_f in eV/f.u.: 0.10
V in Å³ per cell: 281

=====

VASP calculation (r2SCAN) on a relaxed NdTe crystal.

Structure (extended XYZ):
```
2
Lattice="-4.1373 -1.0783 1.4048 -1.6672 -4.0942 -0.8439 -0.5393 -2.9463 3.3590" Properties=species:S:1:pos:R:3 pbc="T T T"
Nd 0.0000 0.0000 0.0000
Te -3.1719 -4.0594 1.9599
```

Output
Mass density in Mg/m³: 7.00
ΔE_f in eV/f.u.: -3.32
V in Å³ per cell: 64

=====

VASP calculation (r2SCAN) on a relaxed Nd2Te5 crystal.

Structure (extended XYZ):
```
14
Lattice="-0.6912 3.3864 -2.7794 1.1452 -2.5765 -3.4240 -21.2362 -8.0568 -1.0404" Properties=species:S:1:pos:R:3 pbc="T T T"
Te -19.2004 -6.0595 -6.1717
Te -10.5046 -3.8258 -2.0711
Te -14.1616 -3.1124 -3.8311
Nd -3.4197 -3.1901 -3.0526
Te -5.2769 -0.4875 -2.8346
Nd -8.3768 -1.4017 -3.1835
Nd -17.3621 -4.0568 -4.1909
Te -15.5047 -6.7591 -4.4091
Te -1.5821 -1.1874 -1.0721
Te -1.3554 -0.7828 -4.1736
Te -6.6211 -4.1350 -3.4124
Te -19.4271 -6.4638 -3.0704
Nd -12.4052 -5.8455 -4.0599
Te -10.2776 -3.4202 -5.1732
```

Output
Mass density in Mg/m³: 6.91
ΔE_f in eV/f.u.: -9.01
V in Å³ per cell: 445

=====

VASP calculation (r2SCAN) on a relaxed Nd3Te4 crystal.

Structure (extended XYZ):
```
14
Lattice="-5.7967 -5.7222 -1.4783 7.4824 -3.5360 -0.2001 -1.2699 3.3506 7.4626" Properties=species:S:1:pos:R:3 pbc="T T T"
Te 1.6901 -3.7928 -0.6231
Te 0.0608 -0.8634 0.8454
Nd 2.7511 -2.3841 2.3039
Nd -1.1345 -4.0647 0.8667
Te -3.9827 -0.0002 5.6328
Te 2.0127 0.4241 3.6605
Te 5.7539 -1.3439 3.5605
Te 0.2687 -3.8172 3.7375
Nd -1.0969 -0.9357 4.0598
Te -3.3477 -1.6755 1.9015
Nd 3.7760 -0.4355 6.1950
Nd 2.0409 -6.9669 -0.3510
Nd -5.0892 -2.9360 4.2785
Te -1.2083 -6.6539 -1.3623
```

Output
Mass density in Mg/m³: 7.17
ΔE_f in eV/f.u.: -11.73
V in Å³ per cell: 437

=====

VASP calculation (r2SCAN) on a relaxed Nd2Te3 crystal.

Structure (extended XYZ):
```
20
Lattice="-3.1604 2.8041 -1.3578 -5.3825 -8.9808 -6.0185 -6.7020 -2.7004 10.0233" Properties=species:S:1:pos:R:3 pbc="T T T"
Te -4.2587 -2.7587 0.5893
Te -11.9234 -9.7551 3.9812
Nd -13.1318 -9.0336 1.0315
Te -5.2332 0.5618 2.4625
Nd -7.1077 -3.2232 -0.9912
Te -10.9863 -6.1185 2.0577
Te -7.2115 -6.1341 0.4914
Nd -2.1131 0.1565 1.6155
Nd -5.2590 -2.3773 3.7054
Te -10.6627 -4.2565 5.1500
Te -10.0118 -9.4390 0.1845
Te -7.0422 -3.1620 6.2355
Te -8.0335 -2.7430 2.1556
Te -3.3215 0.8780 -1.3342
Te -4.5822 -4.6207 -2.5030
Nd -12.6648 -6.7285 4.7048
Te -8.2028 -5.7152 -3.5885
Nd -2.5802 -2.1486 -2.0578
Nd -8.1373 -5.6539 3.6382
Nd -9.9860 -6.4999 -1.0584
```

Output
Mass density in Mg/m³: 6.73
ΔE_f in eV/f.u.: -8.66
V in Å³ per cell: 662